Record 1
Crystalline Hf6Be15Cu8 at its relaxed geometry. Source: Materials Project, functional r²SCAN.

a = 7.7950 Å, b = 7.7950 Å, c = 7.7950 Å
α = 60.00°, β = 60.00°, γ = 60.00°
Closest atoms and distances in Å follow each position.
Atoms (fractional coordinates):
Hf 0.7033 0.7033 0.2967  4 Cu 2.71, 8 Be 2.76-2.80
Hf 0.2967 0.2967 0.7033  4 Cu 2.71, 8 Be 2.76-2.80
Hf 0.2967 0.7033 0.2967  4 Cu 2.71, 8 Be 2.76-2.80
Hf 0.7033 0.2967 0.7033  4 Cu 2.71, 8 Be 2.76-2.80
Hf 0.7033 0.2967 0.2967  4 Cu 2.71, 8 Be 2.76-2.80
Hf 0.2967 0.7033 0.7033  4 Cu 2.71, 8 Be 2.76-2.80
Be 0.3243 0.3243 0.3243  6 Be 2.26-2.32, 3 Cu 2.37
Be 0.0272 0.3243 0.3243  6 Be 2.26-2.32, 3 Cu 2.37
Be 0.6757 0.6757 0.9728  6 Be 2.26-2.32, 3 Cu 2.37
Be 0.6757 0.6757 0.6757  6 Be 2.26-2.32, 3 Cu 2.37
Be 0.5000 0.0000 0.5000  4 Be 2.26, 4 Cu 2.40
Be 0.6757 0.9728 0.6757  6 Be 2.26-2.32, 3 Cu 2.37
Be 0.0000 0.5000 0.0000  4 Be 2.26, 4 Cu 2.40
Be 0.5000 0.0000 0.0000  4 Be 2.26, 4 Cu 2.40
Be 0.5000 0.5000 0.0000  4 Be 2.26, 4 Cu 2.40
Be 0.0000 0.0000 0.0000  8 Cu 2.34
Be 0.9728 0.6757 0.6757  6 Be 2.26-2.32, 3 Cu 2.37
Be 0.3243 0.3243 0.0272  6 Be 2.26-2.32, 3 Cu 2.37
Be 0.0000 0.5000 0.5000  4 Be 2.26, 4 Cu 2.40
Be 0.0000 0.0000 0.5000  4 Be 2.26, 4 Cu 2.40
Be 0.3243 0.0272 0.3243  6 Be 2.26-2.32, 3 Cu 2.37
Cu 0.6320 0.1227 0.1227  7 Be 2.34-2.40
Cu 0.1227 0.1227 0.1227  7 Be 2.34-2.40
Cu 0.1227 0.1227 0.6320  7 Be 2.34-2.40
Cu 0.8773 0.3680 0.8773  7 Be 2.34-2.40
Cu 0.1227 0.6320 0.1227  7 Be 2.34-2.40
Cu 0.3680 0.8773 0.8773  7 Be 2.34-2.40
Cu 0.8773 0.8773 0.3680  7 Be 2.34-2.40
Cu 0.8773 0.8773 0.8773  7 Be 2.34-2.40

Summary:
Crystal system   cubic

=====

Record 2
Crystalline SrCd3 at its relaxed geometry. Source: Materials Project, functional r²SCAN.

a = 5.2591 Å, b = 5.2591 Å, c = 5.2591 Å
α = 60.00°, β = 60.00°, γ = 60.00°
Closest atoms and distances in Å follow each position.
Atoms (fractional coordinates):
Sr 0.0000 0.0000 0.0000  8 Cd 3.22
Cd 0.2500 0.2500 0.2500  4 Cd 3.22, 4 Sr 3.22
Cd 0.7500 0.7500 0.7500  4 Cd 3.22, 4 Sr 3.22
Cd 0.5000 0.5000 0.5000  8 Cd 3.22

Summary:
Crystal system   cubic

=====

Record 3
Crystalline Dy2B4O9 at its relaxed geometry. Source: Materials Project, functional r²SCAN.

a = 6.1359 Å, b = 6.3956 Å, c = 7.4618 Å
α = 102.57°, β = 97.28°, γ = 102.45°
Closest atoms and distances in Å follow each position.
Atoms (fractional coordinates):
O 0.5806 0.8181 0.4461  1 B 1.48
O 0.7802 0.4067 0.5231  1 B 1.46
O 0.1371 0.7167 0.8566  2 B 1.39-1.50
O 0.7753 0.5725 0.0408  2 B 1.42-1.45
O 0.4194 0.1819 0.5539  1 B 1.48
O 0.5042 0.7901 0.0210  2 B 1.46-1.50
O 0.4958 0.2099 0.9790  2 B 1.46-1.50
O 0.4621 0.4627 0.2519  2 B 1.46-1.47
O 0.8112 0.8698 0.8790  2 B 1.36-1.48
O 0.2198 0.5933 0.4769  1 B 1.46
O 0.0687 0.9562 0.6753  1 B 1.36
O 0.9313 0.0438 0.3247  1 B 1.36
O 0.5379 0.5373 0.7481  2 B 1.46-1.47
O 0.2247 0.4275 0.9592  2 B 1.42-1.45
O 0.2361 0.7368 0.2116  2 B 1.46-1.55
O 0.7639 0.2632 0.7884  2 B 1.46-1.55
O 0.1888 0.1302 0.1210  2 B 1.36-1.48
O 0.8629 0.2833 0.1434  2 B 1.39-1.50
Dy 0.5489 0.0906 0.2866  6 O 2.25-2.48
Dy 0.4511 0.9094 0.7134  6 O 2.25-2.48
Dy 0.1127 0.3236 0.6414  6 O 2.29-2.52
Dy 0.8873 0.6764 0.3586  6 O 2.29-2.52
B 0.9958 0.1452 0.1901  3 O 1.36-1.39
B 0.3745 0.6431 0.3495  4 O 1.46-1.55
B 0.0042 0.8548 0.8099  3 O 1.36-1.39
B 0.3388 0.3174 0.0729  4 O 1.42-1.48
B 0.6255 0.3569 0.6505  4 O 1.46-1.55
B 0.2672 0.6660 0.0190  4 O 1.45-1.50
B 0.7328 0.3340 0.9810  4 O 1.45-1.50
B 0.6612 0.6826 0.9271  4 O 1.42-1.48

Summary:
Crystal system   triclinic

=====

Record 4
Crystalline ErSeF at its relaxed geometry. Source: Materials Project, functional r²SCAN.

a = 4.0400 Å, b = 9.8714 Å, c = 18.7041 Å
α = 90.00°, β = 90.00°, γ = 90.00°
Closest atoms and distances in Å follow each position.
Atoms (fractional coordinates):
F 0.2500 0.8674 0.1366  3 Er 2.21-2.34, 3 F 2.31-2.38
F 0.2500 0.3674 0.3634  3 Er 2.21-2.34, 3 F 2.31-2.38
F 0.7500 0.6326 0.6366  3 Er 2.21-2.34, 3 F 2.31-2.38
F 0.2500 0.2012 0.8062  3 Er 2.23-2.44, 2 F 2.38
F 0.7500 0.0267 0.9734  3 Er 2.26-2.32, 3 F 2.31
F 0.7500 0.2988 0.3062  3 Er 2.23-2.44, 2 F 2.38
F 0.7500 0.7988 0.1938  3 Er 2.23-2.44, 2 F 2.38
F 0.7500 0.1326 0.8634  3 Er 2.21-2.34, 3 F 2.31-2.38
F 0.2500 0.7012 0.6938  3 Er 2.23-2.44, 2 F 2.38
F 0.7500 0.5267 0.5266  3 Er 2.26-2.32, 3 F 2.31
F 0.2500 0.4733 0.4734  3 Er 2.26-2.32, 3 F 2.31
F 0.2500 0.9733 0.0266  3 Er 2.26-2.32, 3 F 2.31
Er 0.7500 0.9085 0.4166  6 Se 2.79-2.86
Er 0.7500 0.2435 0.7607  3 F 2.21-2.23
Er 0.7500 0.4233 0.4189  6 F 2.26-2.44
Er 0.2500 0.5915 0.9166  6 Se 2.79-2.86
Er 0.2500 0.2565 0.2607  3 F 2.21-2.23
Er 0.2500 0.0767 0.9189  6 F 2.26-2.44
Er 0.7500 0.4085 0.0834  6 Se 2.79-2.86
Er 0.7500 0.7435 0.7393  3 F 2.21-2.23
Er 0.2500 0.7565 0.2393  3 F 2.21-2.23
Er 0.2500 0.0915 0.5834  6 Se 2.79-2.86
Er 0.7500 0.9233 0.0811  6 F 2.26-2.44
Er 0.2500 0.5767 0.5811  6 F 2.26-2.44
Se 0.7500 0.6662 0.0141  4 Er 2.82-2.86
Se 0.2500 0.8338 0.5141  4 Er 2.82-2.86
Se 0.2500 0.8356 0.8415  4 Er 2.79-2.93, 1 F 3.06
Se 0.2500 0.9954 0.3220  4 Er 2.82
Se 0.2500 0.4954 0.1780  4 Er 2.82
Se 0.7500 0.6644 0.3415  4 Er 2.79-2.93, 1 F 3.06
Se 0.2500 0.3356 0.6585  4 Er 2.79-2.93, 1 F 3.06
Se 0.7500 0.1662 0.4859  4 Er 2.82-2.86
Se 0.2500 0.3338 0.9859  4 Er 2.82-2.86
Se 0.7500 0.1644 0.1585  4 Er 2.79-2.93, 1 F 3.06
Se 0.7500 0.0046 0.6780  4 Er 2.82
Se 0.7500 0.5046 0.8220  4 Er 2.82

Summary:
Crystal system   orthorhombic

=====

Record 5
Crystalline SrNi4Sn2 at its relaxed geometry. Source: Materials Project, functional r²SCAN.

a = 6.7569 Å, b = 6.7569 Å, c = 6.7569 Å
α = 109.09°, β = 109.09°, γ = 110.24°
Closest atoms and distances in Å follow each position.
Atoms (fractional coordinates):
Ni 0.0275 0.5275 0.2321  3 Ni 2.50-2.51, 4 Sn 2.59-2.64
Ni 0.7954 0.0275 0.5000  3 Ni 2.50-2.51, 4 Sn 2.59-2.64
Ni 0.7046 0.2046 0.2321  3 Ni 2.50-2.51, 4 Sn 2.59-2.64
Ni 0.2954 0.7954 0.7679  3 Ni 2.50-2.51, 4 Sn 2.59-2.64
Ni 0.9725 0.4725 0.7679  3 Ni 2.50-2.51, 4 Sn 2.59-2.64
Ni 0.2046 0.9725 0.5000  3 Ni 2.50-2.51, 4 Sn 2.59-2.64
Ni 0.4725 0.7046 0.5000  3 Ni 2.50-2.51, 4 Sn 2.59-2.64
Ni 0.5275 0.2954 0.5000  3 Ni 2.50-2.51, 4 Sn 2.59-2.64
Sn 0.1612 0.3388 0.5000  8 Ni 2.59-2.64
Sn 0.8388 0.6612 0.5000  8 Ni 2.59-2.64
Sn 0.3388 0.8388 0.1776  8 Ni 2.59-2.64
Sn 0.6612 0.1612 0.8224  8 Ni 2.59-2.64
Sr 0.7500 0.7500 0.0000  8 Ni 3.13
Sr 0.2500 0.2500 0.0000  8 Ni 3.13

Summary:
Crystal system   tetragonal

=====

Record 6
Crystalline BiTeBr at its relaxed geometry. Source: Materials Project, functional r²SCAN.

a = 4.3096 Å, b = 4.3096 Å, c = 6.8078 Å
α = 90.00°, β = 90.00°, γ = 120.00°
Closest atoms and distances in Å follow each position.
Atoms (fractional coordinates):
Te 0.3333 0.6667 0.2609  3 Bi 3.03
Bi 0.0000 0.0000 0.0061  3 Te 3.03, 3 Br 3.11
Br 0.6667 0.3333 0.7329  3 Bi 3.11

Summary:
Crystal system   trigonal

=====

The records above yield ΔE_f values of -287 -235 -3131 -3185 -278 -565 meV/atom, respectively.